--- a ---
# Ga3NO3, relaxed, DFT PBE
data_Ga3NO3
_cell_length_a 6.410
_cell_length_b 8.128
_cell_length_c 8.230
_cell_angle_alpha 60.70
_cell_angle_beta 90.00
_cell_angle_gamma 90.00
_space_group_name_H-M_alt 'P 1'
_space_group_IT_number 1
loop_
_space_group_symop_operation_xyz
'x,y,z'
loop_
_atom_site_label
_atom_site_fract_x
_atom_site_fract_y
_atom_site_fract_z
O1 0.252 0.666 0.028
O2 0.749 0.667 0.665
O3 0.752 0.025 0.320
O4 0.749 0.316 0.654
O5 0.748 0.666 0.028
O6 0.248 0.025 0.320
O7 0.000 0.339 0.334
O8 0.251 0.667 0.665
O9 0.500 0.323 0.335
O10 0.500 0.970 0.708
O11 0.251 0.316 0.654
O12 0.000 0.707 0.322
Ga1 0.258 0.759 0.406
Ga2 0.243 0.834 0.761
Ga3 0.000 0.229 0.599
Ga4 0.500 0.241 0.591
Ga5 0.500 0.589 0.174
Ga6 0.000 0.175 0.228
Ga7 0.757 0.834 0.761
Ga8 0.750 0.400 0.842
Ga9 0.742 0.759 0.406
Ga10 0.000 0.597 0.162
Ga11 0.500 0.165 0.222
Ga12 0.250 0.400 0.842
N1 0.000 0.972 0.704
N2 0.500 0.331 0.970
N3 0.000 0.333 0.972
N4 0.500 0.695 0.328
# M_tot: 0.0 μB/cell

=====

--- b ---
# Ga3NO3, relaxed, DFT PBE
data_Ga3NO3
_cell_length_a 5.954
_cell_length_b 5.954
_cell_length_c 10.354
_cell_angle_alpha 72.96
_cell_angle_beta 72.96
_cell_angle_gamma 59.59
_space_group_name_H-M_alt 'P 1'
_space_group_IT_number 1
loop_
_space_group_symop_operation_xyz
'x,y,z'
loop_
_atom_site_label
_atom_site_fract_x
_atom_site_fract_y
_atom_site_fract_z
O1 0.359 0.884 0.377
O2 0.884 0.359 0.377
O3 0.641 0.116 0.623
O4 0.124 0.124 0.616
O5 0.386 0.874 0.873
O6 0.866 0.866 0.870
O7 0.126 0.614 0.127
O8 0.876 0.876 0.384
O9 0.116 0.641 0.623
O10 0.874 0.386 0.873
O11 0.134 0.134 0.130
O12 0.614 0.126 0.127
Ga1 0.251 0.251 0.256
Ga2 0.500 0.000 0.000
Ga3 0.061 0.061 0.809
Ga4 0.551 0.551 0.304
Ga5 0.000 0.000 0.500
Ga6 0.449 0.449 0.696
Ga7 0.939 0.939 0.191
Ga8 0.000 0.500 0.500
Ga9 0.500 0.000 0.500
Ga10 0.749 0.749 0.744
Ga11 0.000 0.500 0.000
Ga12 0.500 0.500 0.000
N1 0.631 0.631 0.103
N2 0.647 0.647 0.615
N3 0.369 0.369 0.897
N4 0.353 0.353 0.385
# M_tot: 0.0 μB/cell

=====

What should be chosen as the most stable of them? Choose a.

=====

--- a ---
# ZnGaNO, relaxed, DFT PBE
data_ZnGaNO
_cell_length_a 6.530
_cell_length_b 6.530
_cell_length_c 10.571
_cell_angle_alpha 89.99
_cell_angle_beta 90.13
_cell_angle_gamma 119.85
_space_group_name_H-M_alt 'P 1'
_space_group_IT_number 1
loop_
_space_group_symop_operation_xyz
'x,y,z'
loop_
_atom_site_label
_atom_site_fract_x
_atom_site_fract_y
_atom_site_fract_z
Ga1 0.163 0.333 0.745
Ga2 0.838 0.177 0.503
Ga3 0.346 0.171 0.995
Ga4 0.825 0.172 0.994
Ga5 0.670 0.326 0.253
Ga6 0.334 0.670 0.992
Ga7 0.665 0.324 0.744
Ga8 0.175 0.836 0.741
O1 0.168 0.334 0.054
O2 0.346 0.175 0.301
O3 0.839 0.661 0.808
O4 0.824 0.652 0.301
O5 0.180 0.841 0.057
O6 0.660 0.839 0.054
O7 0.673 0.846 0.556
O8 0.335 0.665 0.303
N1 0.323 0.660 0.814
N2 0.839 0.175 0.815
N3 0.333 0.167 0.814
N4 0.157 0.327 0.564
N5 0.662 0.324 0.066
N6 0.828 0.172 0.317
N7 0.669 0.328 0.565
N8 0.168 0.836 0.564
Zn1 0.661 0.840 0.747
Zn2 0.334 0.168 0.511
Zn3 0.839 0.661 0.510
Zn4 0.157 0.329 0.265
Zn5 0.322 0.661 0.506
Zn6 0.167 0.833 0.262
Zn7 0.671 0.844 0.262
Zn8 0.827 0.655 0.999
# M_tot: 0.0 μB/cell

=====

--- b ---
# ZnGaNO, relaxed, DFT PBE
data_ZnGaNO
_cell_length_a 3.270
_cell_length_b 5.305
_cell_length_c 5.624
_cell_angle_alpha 90.00
_cell_angle_beta 90.00
_cell_angle_gamma 90.00
_space_group_name_H-M_alt 'P 1'
_space_group_IT_number 1
loop_
_space_group_symop_operation_xyz
'x,y,z'
loop_
_atom_site_label
_atom_site_fract_x
_atom_site_fract_y
_atom_site_fract_z
Zn1 0.500 0.990 0.178
Zn2 0.500 0.490 0.822
Ga1 0.000 0.508 0.348
Ga2 0.000 0.008 0.652
O1 0.500 0.890 0.822
O2 0.500 0.390 0.178
N1 0.000 0.867 0.339
N2 0.000 0.367 0.661
# M_tot: 0.0 μB/cell

=====

What should be chosen as the most stable of them? Choose b.

=====

--- a ---
# Zn3Ga2N4, relaxed, DFT PBE
data_Zn3Ga2N4
_cell_length_a 5.351
_cell_length_b 10.839
_cell_length_c 8.024
_cell_angle_alpha 90.00
_cell_angle_beta 90.00
_cell_angle_gamma 90.00
_space_group_name_H-M_alt 'P 1'
_space_group_IT_number 1
loop_
_space_group_symop_operation_xyz
'x,y,z'
loop_
_atom_site_label
_atom_site_fract_x
_atom_site_fract_y
_atom_site_fract_z
Zn1 0.774 0.854 0.376
Zn2 0.250 0.000 0.945
Zn3 0.226 0.146 0.624
Zn4 0.250 0.500 0.555
Zn5 0.274 0.854 0.624
Zn6 0.226 0.354 0.876
Zn7 0.750 0.500 0.445
Zn8 0.774 0.646 0.124
Zn9 0.274 0.646 0.876
Zn10 0.726 0.146 0.376
Zn11 0.750 0.000 0.055
Zn12 0.726 0.354 0.124
Ga1 0.722 0.750 0.750
Ga2 0.750 0.000 0.701
Ga3 0.278 0.250 0.250
Ga4 0.250 0.000 0.299
Ga5 0.222 0.750 0.250
Ga6 0.778 0.250 0.750
Ga7 0.750 0.500 0.799
Ga8 0.250 0.500 0.201
N1 0.089 0.357 0.105
N2 0.911 0.643 0.895
N3 0.411 0.857 0.395
N4 0.996 0.104 0.828
N5 0.996 0.396 0.672
N6 0.004 0.896 0.172
N7 0.496 0.104 0.172
N8 0.496 0.396 0.328
N9 0.589 0.143 0.605
N10 0.589 0.357 0.895
N11 0.089 0.143 0.395
N12 0.504 0.896 0.828
N13 0.911 0.857 0.605
N14 0.504 0.604 0.672
N15 0.004 0.604 0.328
N16 0.411 0.643 0.105
# M_tot: 0.0 μB/cell

=====

--- b ---
# Zn3Ga2N4, relaxed, DFT PBE
data_Zn3Ga2N4
_cell_length_a 6.426
_cell_length_b 9.400
_cell_length_c 5.365
_cell_angle_alpha 90.00
_cell_angle_beta 93.98
_cell_angle_gamma 137.00
_space_group_name_H-M_alt 'P 1'
_space_group_IT_number 1
loop_
_space_group_symop_operation_xyz
'x,y,z'
loop_
_atom_site_label
_atom_site_fract_x
_atom_site_fract_y
_atom_site_fract_z
Zn1 0.230 0.271 0.601
Zn2 0.770 0.729 0.399
Zn3 0.000 0.344 0.250
Zn4 0.770 0.041 0.899
Zn5 0.230 0.959 0.101
Zn6 0.000 0.656 0.750
N1 0.381 0.609 0.497
N2 0.381 0.772 0.997
N3 0.619 0.391 0.503
N4 0.201 0.314 0.987
N5 0.799 0.686 0.013
N6 0.619 0.228 0.003
N7 0.799 0.113 0.513
N8 0.201 0.887 0.487
Ga1 0.432 0.605 0.868
Ga2 0.568 0.173 0.632
Ga3 0.432 0.827 0.368
Ga4 0.568 0.395 0.132
# M_tot: 0.0 μB/cell

=====

What should be chosen as the most stable of them? Choose b.

=====

--- a ---
# Na6Ta3GaSi6O24, relaxed, DFT PBE
data_Na6Ta3GaSi6O24
_cell_length_a 9.003
_cell_length_b 9.004
_cell_length_c 22.437
_cell_angle_alpha 90.03
_cell_angle_beta 90.01
_cell_angle_gamma 119.97
_space_group_name_H-M_alt 'P 1'
_space_group_IT_number 1
loop_
_space_group_symop_operation_xyz
'x,y,z'
loop_
_atom_site_label
_atom_site_fract_x
_atom_site_fract_y
_atom_site_fract_z
O1 0.207 0.037 0.311
O2 0.498 0.867 0.359
O3 0.814 0.976 0.412
O4 0.688 0.518 0.245
O5 0.165 0.965 0.193
O6 0.195 0.163 0.806
O7 0.969 0.805 0.807
O8 0.162 0.469 0.975
O9 0.829 0.791 0.311
O10 0.521 0.827 0.756
O11 0.695 0.531 0.525
O12 0.831 0.312 0.245
O13 0.480 0.308 0.745
O14 0.036 0.839 0.693
O15 0.361 0.864 0.858
O16 0.306 0.837 0.976
O17 0.841 0.031 0.090
O18 0.797 0.963 0.691
O19 0.171 0.698 0.472
O20 0.838 0.031 0.806
O21 0.831 0.528 0.027
O22 0.026 0.188 0.910
O23 0.812 0.838 0.910
O24 0.632 0.506 0.645
O25 0.482 0.169 0.245
O26 0.505 0.639 0.857
O27 0.469 0.164 0.525
O28 0.494 0.856 0.076
O29 0.982 0.817 0.090
O30 0.136 0.497 0.858
O31 0.173 0.694 0.756
O32 0.855 0.493 0.423
O33 0.878 0.502 0.144
O34 0.147 0.503 0.576
O35 0.146 0.645 0.076
O36 0.132 0.631 0.358
O37 0.174 0.478 0.257
O38 0.501 0.651 0.576
O39 0.532 0.835 0.474
O40 0.505 0.145 0.924
O41 0.305 0.826 0.257
O42 0.500 0.123 0.643
O43 0.369 0.501 0.358
O44 0.834 0.816 0.589
O45 0.348 0.499 0.077
O46 0.160 0.198 0.693
O47 0.470 0.298 0.028
O48 0.024 0.838 0.412
O49 0.507 0.361 0.423
O50 0.854 0.359 0.923
O51 0.829 0.520 0.745
O52 0.306 0.479 0.756
O53 0.521 0.695 0.256
O54 0.834 0.302 0.526
O55 0.188 0.163 0.090
O56 0.804 0.839 0.195
O57 0.626 0.122 0.145
O58 0.640 0.495 0.923
O59 0.491 0.366 0.146
O60 0.162 0.186 0.412
O61 0.690 0.171 0.745
O62 0.363 0.858 0.575
O63 0.702 0.171 0.027
O64 0.527 0.694 0.973
O65 0.036 0.201 0.192
O66 0.639 0.146 0.423
O67 0.304 0.474 0.472
O68 0.967 0.159 0.589
O69 0.162 0.974 0.910
O70 0.187 0.026 0.589
O71 0.873 0.366 0.645
O72 0.963 0.170 0.310
Ta1 0.004 0.000 0.645
Ta2 0.667 0.334 0.978
Ta3 0.329 0.663 0.522
Ta4 0.337 0.667 0.020
Ta5 0.334 0.667 0.814
Ta6 0.666 0.334 0.482
Ta7 0.333 0.667 0.312
Ta8 0.996 0.996 0.146
Ta9 0.001 0.001 0.856
Si1 0.042 0.375 0.917
Si2 0.333 0.958 0.917
Si3 0.711 0.003 0.749
Si4 0.378 0.047 0.586
Si5 0.951 0.619 0.085
Si6 0.713 0.708 0.252
Si7 0.043 0.670 0.416
Si8 0.666 0.620 0.586
Si9 0.331 0.373 0.416
Si10 0.956 0.336 0.587
Si11 0.291 0.005 0.252
Si12 0.996 0.286 0.251
Si13 0.997 0.707 0.750
Si14 0.666 0.046 0.085
Si15 0.626 0.667 0.916
Si16 0.627 0.957 0.417
Si17 0.292 0.289 0.750
Si18 0.384 0.337 0.086
Na1 0.374 0.362 0.246
Na2 0.029 0.336 0.084
Na3 0.326 0.660 0.666
Na4 0.341 0.667 0.164
Na5 0.666 0.970 0.586
Na6 0.305 0.973 0.084
Na7 0.988 0.626 0.247
Na8 0.375 0.010 0.748
Na9 0.709 0.677 0.414
Na10 0.638 0.012 0.247
Na11 0.006 0.000 0.499
Na12 0.324 0.032 0.413
Na13 0.667 0.333 0.327
Na14 0.993 0.994 0.997
Na15 0.967 0.290 0.413
Na16 0.989 0.364 0.747
Na17 0.667 0.333 0.833
Na18 0.635 0.625 0.747
Ga1 0.000 0.000 0.350
Ga2 0.667 0.334 0.685
Ga3 0.666 0.334 0.184
# M_tot: 0.0 μB/cell

=====

--- b ---
# Na6Ta3GaSi6O24, relaxed, DFT PBE
data_Na6Ta3GaSi6O24
_cell_length_a 15.672
_cell_length_b 9.023
_cell_length_c 9.008
_cell_angle_alpha 90.67
_cell_angle_beta 124.92
_cell_angle_gamma 89.71
_space_group_name_H-M_alt 'P 1'
_space_group_IT_number 1
loop_
_space_group_symop_operation_xyz
'x,y,z'
loop_
_atom_site_label
_atom_site_fract_x
_atom_site_fract_y
_atom_site_fract_z
O1 0.538 0.825 0.571
O2 0.583 0.655 0.246
O3 0.419 0.351 0.761
O4 0.963 0.670 0.428
O5 0.917 0.141 0.258
O6 0.854 0.641 0.071
O7 0.432 0.429 0.077
O8 0.149 0.367 0.931
O9 0.259 0.189 0.243
O10 0.037 0.671 0.065
O11 0.417 0.641 0.258
O12 0.648 0.077 0.734
O13 0.578 0.354 0.735
O14 0.463 0.170 0.428
O15 0.245 0.679 0.256
O16 0.962 0.332 0.943
O17 0.354 0.922 0.260
O18 0.141 0.650 0.418
O19 0.743 0.813 0.760
O20 0.577 0.569 0.927
O21 0.745 0.179 0.256
O22 0.083 0.155 0.246
O23 0.654 0.927 0.243
O24 0.932 0.929 0.077
O25 0.430 0.565 0.570
O26 0.930 0.065 0.570
O27 0.154 0.427 0.243
O28 0.462 0.832 0.943
O29 0.360 0.854 0.582
O30 0.759 0.689 0.243
O31 0.038 0.325 0.571
O32 0.854 0.422 0.260
O33 0.349 0.072 0.761
O34 0.919 0.851 0.761
O35 0.077 0.069 0.927
O36 0.752 0.327 0.740
O37 0.078 0.854 0.735
O38 0.567 0.436 0.429
O39 0.537 0.171 0.065
O40 0.849 0.572 0.761
O41 0.641 0.150 0.418
O42 0.649 0.867 0.931
O43 0.243 0.313 0.760
O44 0.067 0.936 0.429
O45 0.148 0.577 0.734
O46 0.252 0.827 0.740
O47 0.860 0.354 0.582
O48 0.354 0.141 0.071
Ga1 0.604 0.747 0.068
Ga2 0.104 0.247 0.068
Na1 0.809 0.922 0.203
Na2 0.744 0.749 0.481
Na3 0.002 0.579 0.760
Na4 0.182 0.081 0.806
Na5 0.309 0.422 0.203
Na6 0.244 0.249 0.481
Na7 0.682 0.581 0.806
Na8 0.502 0.902 0.238
Na9 0.750 0.250 0.999
Na10 0.250 0.750 0.999
Na11 0.002 0.402 0.238
Na12 0.502 0.079 0.760
Si1 0.352 0.104 0.250
Si2 0.004 0.044 0.250
Si3 0.147 0.396 0.752
Si4 0.499 0.464 0.754
Si5 0.647 0.896 0.752
Si6 0.357 0.888 0.760
Si7 0.857 0.388 0.760
Si8 0.999 0.964 0.754
Si9 0.504 0.544 0.250
Si10 0.646 0.105 0.245
Si11 0.146 0.605 0.245
Si12 0.852 0.604 0.250
Ta1 0.605 0.253 0.564
Ta2 0.393 0.748 0.433
Ta3 0.894 0.752 0.928
Ta4 0.105 0.753 0.564
Ta5 0.394 0.252 0.928
Ta6 0.893 0.248 0.433
# M_tot: 0.0 μB/cell

=====

What should be chosen as the most stable of them? Choose a.